Record 1
The following is a PBE-GGA calculation of a relaxed PuSi2Ir2 crystal, from Materials Project.

a b c (Å): 4.1070 4.1070 9.8874
angles (deg): 90.00 90.00 90.00
Last column: nearest neighbours and their distance in Å.
Space group P4/nmm (No. 129, origin choice 2)
Inequivalent atoms, fractional coordinates:
Pu1 0.2500 0.2500 0.2462 x2  8 Ir 3.13-3.24, 8 Si 3.14-3.18
Si1 0.2500 0.2500 0.6320 x2  5 Ir 2.37-2.43
Si2 0.2500 0.7500 0.0000 x2  4 Ir 2.42
Ir1 0.2500 0.2500 0.8714 x2  5 Si 2.37-2.42
Ir2 0.2500 0.7500 0.5000 x2  4 Si 2.43

Calculated values
calculated density: 13.633 g/cm³
VASP energy: -9.431 eV per atom



Record 2
The following is a PBE-GGA calculation of a relaxed Zr2InAu2 crystal, from Materials Project.

a b c (Å): 7.6472 7.6472 7.1196
angles (deg): 90.00 90.00 90.00
Last column: nearest neighbours and their distance in Å.
Space group P4_2/mnm (No. 136)
Inequivalent atoms, fractional coordinates:
Zr1 0.1464 0.1464 0.0000 x4  6 Au 2.83-2.98, 1 Zr 3.17
Zr2 0.1958 0.1958 0.5000 x4  6 Au 2.82-2.93
In1 0.0000 0.5000 0.2500 x4  4 Au 3.02, 4 Zr 3.29
Au1 0.1294 0.8706 0.2947 x8  2 Au 2.80-2.92, 6 Zr 2.82-2.98, 2 In 3.02

Calculated values
calculated density: 11.027 g/cm³
VASP energy: -5.791 eV per atom



Record 3
The following is a PBE-GGA calculation of a relaxed BaSrGdBiO6 crystal, from Materials Project.

a b c (Å): 6.1050 6.1573 8.6602
angles (deg): 89.90 89.81 89.97
Last column: nearest neighbours and their distance in Å.
Space group P-1 (No. 2)
Inequivalent atoms, fractional coordinates:
Ba1 0.0062 0.0288 0.2500 x2  6 O 2.70-2.97
Sr1 0.4919 0.5367 0.2492 x2  4 O 2.58-2.66
Gd1 0.0000 0.5000 0.0000 x1  6 O 2.27-2.31
Gd2 0.5000 0.0000 0.5000 x1  6 O 2.28-2.30
Bi1 0.0000 0.5000 0.5000 x1  6 O 2.15-2.16
Bi2 0.5000 0.0000 0.0000 x1  6 O 2.15-2.16
O1 0.0878 0.5098 0.7414 x2  1 Bi 2.16, 1 Gd 2.30
O2 0.2076 0.7765 0.4616 x2  1 Bi 2.15, 1 Gd 2.28
O3 0.2227 0.7910 0.0344 x2  1 Bi 2.15, 1 Gd 2.27
O4 0.2805 0.2972 0.4535 x2  1 Bi 2.16, 1 Gd 2.30
O5 0.3008 0.2829 0.0452 x2  1 Bi 2.16, 1 Gd 2.31
O6 0.4330 0.0380 0.7581 x2  1 Bi 2.15, 1 Gd 2.28

Calculated values
calculated density: 7.010 g/cm³
VASP energy: -7.518 eV per atom



Record 4
The following is a PBE-GGA calculation of a relaxed MoW2Se2S4 crystal, from Materials Project.

a b c (Å): 3.2350 3.2350 29.6736
angles (deg): 90.00 90.00 120.00
Last column: nearest neighbours and their distance in Å.
Space group P3m1 (No. 156)
Inequivalent atoms, fractional coordinates:
Mo1 0.0000 0.0000 0.0000 x1  6 S 2.43
W1 0.0000 0.0000 0.4627 x1  6 Se 2.54
W2 0.3333 0.6667 0.2313 x1  6 S 2.43
Se1 0.3333 0.6667 0.4049 x1  3 W 2.54
Se2 0.3333 0.6667 0.5205 x1  3 W 2.54
S1 0.0000 0.0000 0.1789 x1  3 W 2.43
S2 0.0000 0.0000 0.2838 x1  3 W 2.43
S3 0.3333 0.6667 0.0522 x1  3 Mo 2.43
S4 0.3333 0.6667 0.9478 x1  3 Mo 2.43

Calculated values
calculated density: 4.630 g/cm³
VASP energy: -7.434 eV per atom



Record 5
The following is a PBE-GGA calculation of a relaxed Ti6AgS12 crystal, from Materials Project.

a b c (Å): 14.1852 10.2605 5.9267
angles (deg): 90.00 114.60 90.00
Last column: nearest neighbours and their distance in Å.
Space group C2/m (No. 12)
Inequivalent atoms, fractional coordinates:
Ti1 0.2430 0.0000 0.2454 x4  6 S 2.40-2.48
Ti2 0.2482 0.1673 0.7528 x8  6 S 2.41-2.45
Ag1 0.0000 0.5000 0.5000 x2  6 S 2.69
S1 0.1377 0.0000 0.4744 x4  3 Ti 2.40-2.44
S2 0.1377 0.1681 0.9718 x8  3 Ti 2.41-2.44
S3 0.1408 0.3331 0.4711 x8  3 Ti 2.43-2.48, 1 Ag 2.69
S4 0.1416 0.5000 0.9737 x4  3 Ti 2.43-2.48, 1 Ag 2.69

Calculated values
calculated density: 3.302 g/cm³
VASP energy: -6.467 eV per atom



Record 6
The following is a PBE-GGA calculation of a relaxed Ba3UMnS6 crystal, from Materials Project.

a b c (Å): 12.1459 12.1459 13.5723
angles (deg): 90.00 90.00 120.00
Last column: nearest neighbours and their distance in Å.
Space group R-3c (No. 167, hexagonal axes)
Inequivalent atoms, fractional coordinates:
Ba1 0.0000 0.3809 0.2500 x18  8 S 3.18-3.33
U1 0.0000 0.0000 0.2500 x6  6 S 2.71
Mn1 0.0000 0.0000 0.0000 x6  6 S 2.58
S1 0.0261 0.1785 0.3820 x36  1 Mn 2.58, 1 U 2.71

Calculated values
calculated density: 5.156 g/cm³
VASP energy: -6.284 eV per atom



Record 7
The following is a PBE-GGA calculation of a relaxed Li2CuP3H8O13 crystal, from Materials Project.

a b c (Å): 6.7222 9.2594 10.1059
angles (deg): 94.22 104.76 107.15
Last column: nearest neighbours and their distance in Å.
Space group P-1 (No. 2)
Inequivalent atoms, fractional coordinates:
Li1 0.0504 0.4376 0.3473 x2  4 O 2.15-2.33
Li2 0.2919 0.8406 0.5433 x2  1 O 2.04
Cu1 0.1395 0.2565 0.1026 x2  4 O 1.97-2.15
P1 0.2248 0.2011 0.5291 x2  4 O 1.50-1.64
P2 0.3225 0.2746 0.8304 x2  4 O 1.51-1.62
P3 0.4167 0.5187 0.6697 x2  4 O 1.50-1.64
H1 0.0230 0.9488 0.1389 x2  1 O 0.99
H2 0.0643 0.7099 0.2237 x2  1 O 0.98
H3 0.1664 0.0570 0.2810 x2  1 O 0.99
H4 0.2381 0.7007 0.9510 x2  1 O 0.99
H5 0.2384 0.8040 0.8361 x2  1 O 1.00
H6 0.2914 0.6978 0.2478 x2  1 O 0.98
H7 0.4173 0.0747 0.1878 x2  1 O 0.99
H8 0.4622 0.0423 0.8159 x2  1 O 0.99
O1 0.0180 0.2192 0.4431 x2  1 P 1.50
O2 0.1417 0.0469 0.1796 x2  2 H 0.99
O3 0.1424 0.7139 0.8641 x2  2 H 0.99-1.00
O4 0.1596 0.2346 0.9116 x2  1 P 1.51
O5 0.1740 0.6824 0.2924 x2  2 H 0.98
O6 0.1941 0.1677 0.6809 x2  2 P 1.62-1.64
O7 0.2426 0.5805 0.5970 x2  1 P 1.50
O8 0.3188 0.0893 0.4752 x2  1 P 1.50
O9 0.3432 0.4458 0.7999 x2  2 P 1.61-1.64
O10 0.3484 0.3851 0.2829 x2  1 P 1.50
O11 0.4150 0.3667 0.5775 x2  2 P 1.62-1.63
O12 0.4340 0.9333 0.7825 x2  2 H 0.99
O13 0.4575 0.7446 0.1173 x2  1 P 1.51

Calculated values
calculated density: 2.237 g/cm³
VASP energy: -5.836 eV per atom



Record 8
The following is a PBE-GGA calculation of a relaxed SnP4O12 crystal, from Materials Project.

a b c (Å): 15.6706 7.1454 9.0901
angles (deg): 90.00 124.44 90.00
Last column: nearest neighbours and their distance in Å.
Space group C2/c (No. 15)
Inequivalent atoms, fractional coordinates:
Sn1 0.0000 0.1987 0.2500 x4  6 O 2.10-2.22
P1 0.1315 0.4566 0.1189 x8  4 O 1.49-1.61
P2 0.1423 0.1499 0.6911 x8  4 O 1.48-1.61
O1 0.0624 0.4946 0.4266 x8  1 P 1.49
O2 0.0656 0.0602 0.7150 x8  1 P 1.48
O3 0.1087 0.2884 0.1946 x8  1 P 1.52
O4 0.1261 0.1334 0.5094 x8  1 P 1.53
O5 0.1518 0.3669 0.7447 x8  2 P 1.61
O6 0.2444 0.4205 0.1592 x8  2 P 1.59-1.61

Calculated values
calculated density: 3.439 g/cm³
VASP energy: -6.965 eV per atom



Record 9
The following is a PBE-GGA calculation of a relaxed Pr2CdSe4 crystal, from Materials Project.

a b c (Å): 8.8664 8.8664 9.3279
angles (deg): 90.00 90.00 90.00
Last column: nearest neighbours and their distance in Å.
Space group I-42d (No. 122)
Inequivalent atoms, fractional coordinates:
Pr1 0.1341 0.2500 0.1250 x8  6 Se 2.95-3.18
Cd1 0.0000 0.0000 0.5000 x4  4 Se 2.84
Se1 0.0697 0.1939 0.8105 x16  1 Cd 2.84, 2 Pr 2.95-3.03

Calculated values
calculated density: 6.432 g/cm³
VASP energy: -4.925 eV per atom



Record 10
The following is a PBE-GGA calculation of a relaxed Ti2RePt crystal, from Materials Project.

a b c (Å): 6.2730 6.2730 6.2730
angles (deg): 90.00 90.00 90.00
Last column: nearest neighbours and their distance in Å.
Space group Fm-3m (No. 225)
Inequivalent atoms, fractional coordinates:
Ti1 0.2500 0.2500 0.2500 x8  4 Pt 2.72, 4 Re 2.72
Re1 0.0000 0.0000 0.0000 x4  8 Ti 2.72
Pt1 0.0000 0.0000 0.5000 x4  8 Ti 2.72

Calculated values
calculated density: 12.836 g/cm³
VASP energy: -9.240 eV per atom



Record 11
The following is a PBE-GGA calculation of a relaxed Nb4AlN3 crystal, from Materials Project.

a b c (Å): 3.0063 3.0063 25.6670
angles (deg): 90.00 90.00 120.00
Last column: nearest neighbours and their distance in Å.
Space group P6_3/mmc (No. 194)
Inequivalent atoms, fractional coordinates:
Nb1 0.3333 0.6667 0.0551 x4  6 N 2.21-2.24
Nb2 0.3333 0.6667 0.6631 x4  3 N 2.23
Al1 0.3333 0.6667 0.2500 x2  6 Nb 2.83, 6 Al 3.01
N1 0.0000 0.0000 0.0000 x2  6 Nb 2.24
N2 0.0000 0.0000 0.1087 x4  6 Nb 2.21-2.23

Calculated values
calculated density: 7.284 g/cm³
VASP energy: -9.493 eV per atom



Record 12
The following is a PBE-GGA calculation of a relaxed GdH3 crystal, from Materials Project.

a b c (Å): 3.7254 3.7254 6.7035
angles (deg): 90.00 90.00 120.00
Last column: nearest neighbours and their distance in Å.
Space group P6_3/mmc (No. 194)
Inequivalent atoms, fractional coordinates:
Gd1 0.3333 0.6667 0.2500 x2  11 H 2.15-2.39
H1 0.0000 0.0000 0.2500 x2  3 Gd 2.15, 6 H 2.39
H2 0.3333 0.6667 0.5942 x4  1 H 2.09, 1 Gd 2.31

Calculated values
calculated density: 6.606 g/cm³
VASP energy: -6.639 eV per atom



Record 13
The following is a PBE-GGA calculation of a relaxed BaNaB9O15 crystal, from Materials Project.

a b c (Å): 11.3029 11.3029 17.6045
angles (deg): 90.00 90.00 120.00
Last column: nearest neighbours and their distance in Å.
Space group R3c (No. 161, hexagonal axes)
Inequivalent atoms, fractional coordinates:
Ba1 0.0000 0.0000 0.0000 x6  9 O 2.85-3.05
Na1 0.0000 0.0000 0.2729 x6  6 O 2.34-2.54
B1 0.0533 0.4522 0.3232 x18  3 O 1.36-1.40
B2 0.1070 0.3367 0.0484 x18  4 O 1.48-1.49
B3 0.1207 0.3836 0.4387 x18  3 O 1.37-1.41
O1 0.0110 0.2545 0.4330 x18  2 B 1.37-1.48
O2 0.0866 0.4094 0.6655 x18  2 B 1.37-1.49
O3 0.0929 0.5362 0.2615 x18  2 B 1.36-1.49
O4 0.1501 0.4792 0.3802 x18  2 B 1.40-1.41
O5 0.2082 0.4302 0.4991 x18  2 B 1.37-1.48

Calculated values
calculated density: 2.545 g/cm³
VASP energy: -7.830 eV per atom



Record 14
The following is a PBE-GGA calculation of a relaxed U2SN2 crystal, from Materials Project.

a b c (Å): 3.8136 3.8136 6.5530
angles (deg): 90.00 90.00 120.00
Last column: nearest neighbours and their distance in Å.
Space group P-3m1 (No. 164)
Inequivalent atoms, fractional coordinates:
U1 0.3333 0.6667 0.2164 x2  4 N 2.27
S1 0.0000 0.0000 0.5000 x1  6 U 2.88
N1 0.3333 0.6667 0.8695 x2  4 U 2.27

Calculated values
calculated density: 10.787 g/cm³
VASP energy: -10.256 eV per atom